Record 1
First-principles (GGA-PBE) data for crystalline MgCuAs at its relaxed geometry, as listed in the Materials Project database.

```
24
Lattice="13.554 0.000 0.000 0.000 3.990 0.000 0.000 0.000 7.417" Properties=species:S:1:pos:R:3 pbc="T T T"
Mg 1.457 0.998 0.425
Mg 1.928 2.993 4.995
Mg 4.849 0.998 1.286
Mg 5.320 2.993 4.133
Mg 8.234 0.998 3.284
Mg 8.705 2.993 6.131
Mg 11.626 0.998 2.422
Mg 12.097 2.993 6.992
Cu 0.877 0.998 3.192
Cu 2.526 2.993 2.229
Cu 4.251 0.998 5.937
Cu 5.900 2.993 6.901
Cu 7.654 0.998 0.516
Cu 9.303 2.993 1.480
Cu 11.028 0.998 5.188
Cu 12.677 2.993 4.225
As 0.001 0.998 5.582
As 13.552 2.993 1.835
As 3.357 2.993 7.266
As 3.420 0.998 3.558
As 6.778 0.998 5.543
As 6.775 2.993 1.874
As 10.133 2.993 3.860
As 10.197 0.998 0.151
```

Computed properties:
- energy relative to the elements (eV/atom) = -0.3541
- uncorrected energy (Ry per atom) = -0.2798
- calculated volume (Å³ per cell) = 401

Record 2
First-principles (GGA-PBE) data for crystalline Mg3Cu3As4O16 at its relaxed geometry, as listed in the Materials Project database.

```
52
Lattice="8.724 0.000 0.000 0.000 5.086 0.000 -6.222 0.000 14.462" Properties=species:S:1:pos:R:3 pbc="T T T"
Mg 0.000 0.000 0.000
Mg -3.111 2.543 7.231
Mg 0.852 0.129 4.009
Mg -2.259 2.414 11.240
Mg 4.761 2.672 3.222
Mg 1.650 4.957 10.453
Cu -0.539 2.595 5.475
Cu -3.650 5.034 12.706
Cu 1.251 0.000 7.231
Cu 4.362 2.543 0.000
Cu 6.152 0.052 1.756
Cu 3.041 2.491 8.987
As -3.692 0.021 9.422
As -0.581 2.523 2.191
As 3.051 0.018 1.457
As -0.060 2.525 8.688
As 2.562 2.561 5.774
As -0.548 5.068 13.005
As 3.083 2.564 12.271
As 6.194 5.066 5.040
O -3.594 3.392 9.237
O -0.483 4.237 2.006
O -2.772 0.895 8.320
O 0.339 1.648 1.089
O -3.962 3.047 12.239
O -0.851 4.582 5.008
O -3.008 0.489 10.971
O 0.103 2.054 3.740
O -1.064 2.853 7.323
O 2.047 4.776 0.092
O -0.750 3.036 10.118
O 2.361 4.593 2.887
O -1.993 0.991 13.288
O 1.118 1.552 6.057
O -1.191 3.454 12.897
O 1.919 4.175 5.666
O 0.583 0.911 8.796
O 3.694 1.632 1.565
O 1.385 3.534 8.405
O 4.496 4.095 1.174
O 0.141 0.493 11.575
O 3.252 2.050 4.344
O 0.455 0.310 14.370
O 3.566 2.233 7.139
O 2.400 3.032 10.721
O 5.510 4.597 3.491
O 3.353 0.504 9.454
O 6.464 2.039 2.223
O 2.163 3.438 13.373
O 5.274 4.191 6.142
O 2.985 0.849 12.456
O 6.096 1.694 5.225
```

Computed properties:
- energy relative to the elements (eV/atom) = -1.8632
- uncorrected energy (Ry per atom) = -0.4307
- calculated volume (Å³ per cell) = 642

Record 3
First-principles (GGA-PBE) data for crystalline MgCuAsO5 at its relaxed geometry, as listed in the Materials Project database.

```
32
Lattice="5.710 0.000 0.000 0.000 7.477 0.000 0.000 0.000 9.043" Properties=species:S:1:pos:R:3 pbc="T T T"
Mg 0.217 1.344 2.840
Mg 2.638 6.133 7.361
Mg 3.072 2.395 6.203
Mg 5.494 5.082 1.682
Cu 1.423 5.618 4.512
Cu 1.432 1.860 9.033
Cu 4.278 5.598 4.532
Cu 4.288 1.879 0.010
As 0.158 0.766 5.950
As 2.697 6.712 1.429
As 3.013 2.973 3.093
As 5.552 4.504 7.615
O 0.017 4.731 3.727
O 0.023 3.089 8.703
O 0.546 1.955 4.809
O 1.304 4.690 6.762
O 1.363 6.960 2.473
O 1.492 0.517 6.995
O 1.551 2.788 2.240
O 2.309 5.523 0.287
O 2.832 4.388 4.181
O 2.839 2.746 8.248
O 2.872 6.485 5.316
O 2.878 0.649 0.340
O 3.401 1.784 4.235
O 4.159 6.526 2.281
O 4.218 4.256 6.570
O 4.347 3.221 2.048
O 4.406 0.951 6.803
O 5.164 5.693 8.756
O 5.687 6.828 4.862
O 5.694 0.992 0.795
```

Computed properties:
- energy relative to the elements (eV/atom) = -1.7020
- uncorrected energy (Ry per atom) = -0.4160
- calculated volume (Å³ per cell) = 386

Record 4
First-principles (GGA-PBE) data for crystalline MgCu2AsO7 at its relaxed geometry, as listed in the Materials Project database.

```
11
Lattice="5.117 0.000 0.000 0.735 5.280 0.000 2.495 -0.052 5.415" Properties=species:S:1:pos:R:3 pbc="T T T"
Mg 0.000 0.000 0.000
Cu 3.830 0.094 2.687
Cu 4.816 2.634 1.556
As 5.031 2.386 4.663
O 3.000 4.779 3.391
O 1.628 3.444 0.250
O 4.084 0.948 4.370
O 4.347 4.375 1.150
O 5.511 3.196 3.194
O 4.002 1.875 0.003
O 5.306 0.885 1.893
```

Computed properties:
- energy relative to the elements (eV/atom) = -1.4028
- uncorrected energy (Ry per atom) = -0.3990
- calculated volume (Å³ per cell) = 146